Record 1
Be2Tl2ZnO6F8 | PBE | optimized geometry

Lattice parameters (Å, degrees): 5.247 7.965 12.398 90.00 90.00 92.94
Sites, in units of the cell vectors:
O: 0.072 0.994 0.040
O: 0.567 0.418 0.357
O: 0.072 0.494 0.460
O: 0.928 0.506 0.540
O: 0.713 0.573 0.342
O: 0.287 0.427 0.658
O: 0.713 0.073 0.158
O: 0.433 0.582 0.643
O: 0.928 0.006 0.960
O: 0.287 0.927 0.842
O: 0.567 0.918 0.143
O: 0.433 0.082 0.857
F: 0.834 0.399 0.888
F: 0.923 0.666 0.785
F: 0.221 0.809 0.487
F: 0.923 0.166 0.715
F: 0.779 0.691 0.987
F: 0.459 0.074 0.641
F: 0.779 0.191 0.513
F: 0.834 0.899 0.612
F: 0.077 0.334 0.215
F: 0.541 0.926 0.359
F: 0.459 0.574 0.859
F: 0.166 0.601 0.112
F: 0.221 0.309 0.013
F: 0.077 0.834 0.285
F: 0.166 0.101 0.388
F: 0.541 0.426 0.141
Tl: 0.781 0.169 0.326
Tl: 0.219 0.831 0.674
Tl: 0.219 0.331 0.826
Tl: 0.781 0.669 0.174
Be: 0.245 0.413 0.121
Be: 0.755 0.087 0.621
Be: 0.755 0.587 0.879
Be: 0.245 0.913 0.379
Zn: 0.500 0.000 0.000
Zn: 0.500 0.500 0.500

Output
Distance to the lowest polymorph of the same formula ... 46 meV per atom

---

Record 2
Na6Sm4Ge4Se17 | PBE | optimized geometry

Lattice parameters (Å, degrees): 12.812 12.812 6.992 78.20 78.20 51.53
Sites, in units of the cell vectors:
Ge: 0.347 0.949 0.619
Ge: 0.646 0.052 0.889
Ge: 0.051 0.653 0.381
Ge: 0.948 0.354 0.111
Se: 0.529 0.824 0.375
Se: 0.838 0.534 0.860
Se: 0.842 0.952 0.041
Se: 0.867 0.653 0.349
Se: 0.624 0.183 0.579
Se: 0.135 0.345 0.145
Se: 0.176 0.638 0.077
Se: 0.612 0.388 0.000
Se: 0.943 0.847 0.541
Se: 0.048 0.158 0.959
Se: 0.817 0.376 0.421
Se: 0.466 0.162 0.140
Se: 0.176 0.471 0.625
Se: 0.153 0.057 0.459
Se: 0.655 0.865 0.855
Se: 0.362 0.824 0.923
Se: 0.347 0.133 0.651
Sm: 0.054 0.329 0.576
Sm: 0.957 0.672 0.916
Sm: 0.328 0.043 0.084
Sm: 0.671 0.946 0.424
Na: 0.597 0.590 0.157
Na: 0.410 0.403 0.843
Na: 0.836 0.178 0.757
Na: 0.602 0.589 0.705
Na: 0.822 0.164 0.243
Na: 0.411 0.398 0.295

---

Record 3
Sr3Ta4O12F2 | PBE | optimized geometry

Lattice parameters (Å, degrees): 7.488 7.488 7.488 61.16 61.16 61.16
Sites, in units of the cell vectors:
Ta: 0.000 0.000 0.500
Ta: 0.500 0.000 0.000
Ta: 0.000 0.000 0.000
Ta: 0.000 0.500 0.000
O: 0.309 0.948 0.309
O: 0.067 0.067 0.686
O: 0.933 0.314 0.933
O: 0.686 0.067 0.067
O: 0.314 0.933 0.933
O: 0.948 0.309 0.309
O: 0.309 0.309 0.948
O: 0.933 0.933 0.314
O: 0.052 0.691 0.691
O: 0.691 0.052 0.691
O: 0.691 0.691 0.052
O: 0.067 0.686 0.067
Sr: 0.500 0.500 0.000
Sr: 0.000 0.500 0.500
Sr: 0.500 0.000 0.500
F: 0.375 0.375 0.375
F: 0.625 0.625 0.625

---

Record 4
Pr5Si2Se3O17F | PBE | optimized geometry

Lattice parameters (Å, degrees): 7.107 9.961 13.047 70.58 76.91 69.40
Sites, in units of the cell vectors:
O: 0.047 0.602 0.049
O: 0.927 0.698 0.369
O: 0.408 0.695 0.240
O: 0.122 0.329 0.412
O: 0.204 0.984 0.221
O: 0.061 0.809 0.130
O: 0.358 0.340 0.977
O: 0.174 0.305 0.189
O: 0.953 0.398 0.951
O: 0.858 0.172 0.089
O: 0.592 0.305 0.760
O: 0.476 0.415 0.130
O: 0.409 0.838 0.481
O: 0.146 0.810 0.682
O: 0.878 0.671 0.588
O: 0.796 0.016 0.779
O: 0.597 0.879 0.228
O: 0.524 0.585 0.870
O: 0.854 0.190 0.318
O: 0.403 0.121 0.772
O: 0.939 0.191 0.870
O: 0.989 0.889 0.442
O: 0.471 0.875 0.666
O: 0.591 0.162 0.519
O: 0.519 0.404 0.345
O: 0.073 0.302 0.631
O: 0.254 0.594 0.474
O: 0.481 0.596 0.655
O: 0.746 0.406 0.526
O: 0.642 0.660 0.023
O: 0.826 0.695 0.811
O: 0.529 0.125 0.334
O: 0.011 0.111 0.558
O: 0.142 0.828 0.911
Pr: 0.149 0.029 0.740
Pr: 0.404 0.363 0.604
Pr: 0.596 0.637 0.396
Pr: 0.798 0.475 0.734
Pr: 0.190 0.580 0.856
Pr: 0.800 0.918 0.623
Pr: 0.202 0.525 0.266
Pr: 0.851 0.971 0.260
Pr: 0.810 0.420 0.144
Pr: 0.200 0.082 0.377
Se: 0.585 0.128 0.838
Se: 0.965 0.794 0.026
Se: 0.415 0.872 0.162
Se: 0.587 0.726 0.891
Se: 0.413 0.274 0.109
Se: 0.035 0.206 0.974
F: 0.153 0.454 0.743
F: 0.847 0.546 0.257
Si: 0.979 0.293 0.529
Si: 0.021 0.707 0.471
Si: 0.618 0.222 0.384
Si: 0.382 0.778 0.616

---

Record 5
Ho5Ge10Ir4 | PBE | optimized geometry

Lattice parameters (Å, degrees): 13.842 13.842 4.360 90.00 90.00 90.00
Sites, in units of the cell vectors:
Ge: 0.396 0.104 0.000
Ge: 0.866 0.797 0.000
Ge: 0.896 0.396 0.000
Ge: 0.134 0.203 0.000
Ge: 0.703 0.634 0.000
Ge: 0.351 0.520 0.500
Ge: 0.366 0.703 0.000
Ge: 0.203 0.866 0.000
Ge: 0.104 0.604 0.000
Ge: 0.649 0.480 0.500
Ge: 0.604 0.896 0.000
Ge: 0.297 0.366 0.000
Ge: 0.634 0.297 0.000
Ge: 0.797 0.134 0.000
Ge: 0.020 0.851 0.500
Ge: 0.851 0.980 0.500
Ge: 0.520 0.649 0.500
Ge: 0.980 0.149 0.500
Ge: 0.149 0.020 0.500
Ge: 0.480 0.351 0.500
Ir: 0.548 0.727 0.000
Ir: 0.452 0.273 0.000
Ir: 0.727 0.452 0.000
Ir: 0.048 0.773 0.000
Ir: 0.227 0.048 0.000
Ir: 0.952 0.227 0.000
Ir: 0.773 0.952 0.000
Ir: 0.273 0.548 0.000
Ho: 0.796 0.296 0.500
Ho: 0.597 0.097 0.000
Ho: 0.500 0.500 0.000
Ho: 0.097 0.403 0.000
Ho: 0.296 0.204 0.500
Ho: 0.000 0.000 0.000
Ho: 0.704 0.796 0.500
Ho: 0.903 0.597 0.000
Ho: 0.403 0.903 0.000
Ho: 0.204 0.704 0.500

Output
Distance to the lowest polymorph of the same formula ... 270 meV per atom

---

Record 6
Cu | PBE | optimized geometry

Lattice parameters (Å, degrees): 4.179 4.179 2.519 90.00 90.00 145.72
Sites, in units of the cell vectors:
Cu: 0.866 0.134 0.750
Cu: 0.134 0.866 0.250

Output
Distance to the lowest polymorph of the same formula ... 143 meV per atom

---

Record 7
MgTe2Mo2W2Se4S2 | PBE | optimized geometry

Lattice parameters (Å, degrees): 3.336 3.336 45.824 90.00 90.00 120.00
Sites, in units of the cell vectors:
Mo: 0.667 0.333 0.282
Mo: 0.333 0.667 0.094
S: 0.333 0.667 0.698
S: 0.333 0.667 0.632
Se: 0.667 0.333 0.426
Se: 0.333 0.667 0.246
Se: 0.667 0.333 0.499
Se: 0.333 0.667 0.318
W: 0.333 0.667 0.462
W: 0.667 0.333 0.665
Mg: 0.000 0.000 0.567
Te: 0.667 0.333 0.052
Te: 0.667 0.333 0.135

Output
Distance to the lowest polymorph of the same formula ... 9 meV per atom

---

Record 8
Cs2RbInBr6 | PBE | optimized geometry

Lattice parameters (Å, degrees): 8.461 8.461 8.461 60.00 60.00 60.00
Sites, in units of the cell vectors:
Br: 0.226 0.774 0.774
Br: 0.774 0.226 0.774
Br: 0.226 0.226 0.774
Br: 0.774 0.226 0.226
Br: 0.774 0.774 0.226
Br: 0.226 0.774 0.226
Rb: 0.500 0.500 0.500
Cs: 0.750 0.750 0.750
Cs: 0.250 0.250 0.250
In: 0.000 0.000 0.000

---

no.,uncorrected energy (eV/atom),ΔE_f (eV per atom)
1,-4.61,-1.78
2,-4.43,-1.31
3,-8.65,-3.58
4,-7.27,-3.02
5,-6.00,-0.50
6,-3.96,0.14
7,-6.44,-0.54
8,-2.95,-1.74